[1]
This record from the Materials Project describes a relaxed structure of SrZr4As6O24. The functional is PBE-GGA.

Calculated values
Spin magnetization   0.00 μB/f.u.
ΔH_f (0 K)   -2577 meV per atom
Uncorrected energy   -0.53819 Ry per atom

Cell: 9.1746 9.1746 9.6924 Å, 61.75 61.75 60.00°
Last column: nearest neighbours and their distance in Å.
Element x y z (fractional)
O  0.7319  0.6635  0.5882  1 As 1.71
O  0.9519  0.3104  0.7093  1 As 1.70
O  0.9716  0.0481  0.2907  1 As 1.70
O  0.3104  0.0284  0.7093  1 As 1.70
O  0.2440  0.5923  0.7579  1 As 1.73
Zr  0.1446  0.1446  0.5662  6 O 2.09-2.13
Zr  0.3535  0.3535  0.9394  6 O 2.05-2.17
As  0.5313  0.9625  0.2538  4 O 1.70-1.73
As  0.4687  0.0375  0.7462  4 O 1.70-1.73
As  0.9625  0.2525  0.2538  4 O 1.70-1.73
O  0.3365  0.9836  0.4118  1 As 1.71
O  0.0164  0.7319  0.5882  1 As 1.71
O  0.8764  0.6996  0.9276  1 As 1.71
O  0.9836  0.2681  0.4118  1 As 1.71
O  0.6996  0.4964  0.9276  1 As 1.71
O  0.0481  0.6896  0.2907  1 As 1.70
Zr  0.8554  0.8554  0.4338  6 O 2.09-2.13
As  0.2525  0.5313  0.2538  4 O 1.70-1.73
O  0.5036  0.1236  0.0724  1 As 1.71
O  0.2681  0.3365  0.4118  1 As 1.71
O  0.6896  0.9716  0.2907  1 As 1.70
O  0.3004  0.5036  0.0724  1 As 1.71
O  0.4077  0.5942  0.2421  1 As 1.73
O  0.0284  0.9519  0.7093  1 As 1.70
Zr  0.6465  0.6465  0.0606  6 O 2.05-2.17
As  0.0375  0.7475  0.7462  4 O 1.70-1.73
O  0.4964  0.8764  0.9276  1 As 1.71
O  0.6635  0.0164  0.5882  1 As 1.71
As  0.7475  0.4687  0.7462  4 O 1.70-1.73
O  0.5942  0.7560  0.2421  1 As 1.73
O  0.1236  0.3004  0.0724  1 As 1.71
Sr  0.5000  0.5000  0.5000  6 O 2.63
O  0.4058  0.2440  0.7579  1 As 1.73
O  0.5923  0.4058  0.7579  1 As 1.73
O  0.7560  0.4077  0.2421  1 As 1.73

[2]
This record from the Materials Project describes a relaxed structure of TaAsO5. The functional is PBE-GGA.

Calculated values
Energy above the most stable polymorph in this dataset   0 meV per atom
ΔH_f (0 K)   -2527 meV per atom
Uncorrected energy   -0.58286 Ry per atom

Cell: 5.5746 11.8215 6.9544 Å, 90.00 90.00 90.00°
Last column: nearest neighbours and their distance in Å.
Element x y z (fractional)
O  0.4973  0.1249  0.3447  1 As 1.69
As  0.7500  0.6537  0.0294  4 O 1.69-1.70
O  0.2500  0.2047  0.0171  1 As 1.70
O  0.0000  0.5000  0.5000  2 Ta 1.92
O  0.7500  0.7953  0.9829  1 As 1.70
O  0.5027  0.3751  0.8447  1 As 1.69
O  0.7500  0.0833  0.6846  1 As 1.70
O  0.5027  0.8751  0.6553  1 As 1.69
O  0.5000  0.5000  0.5000  2 Ta 1.92
O  0.2500  0.7047  0.4829  1 As 1.70
O  0.4973  0.6249  0.1553  1 As 1.69
O  0.0027  0.1249  0.3447  1 As 1.69
Ta  0.2500  0.5597  0.3402  6 O 1.92-2.04
O  0.9973  0.3751  0.8447  1 As 1.69
O  0.7500  0.5833  0.8154  1 As 1.70
O  0.7500  0.2953  0.5171  1 As 1.70
O  0.2500  0.4167  0.1846  1 As 1.70
Ta  0.7500  0.4403  0.6598  6 O 1.92-2.04
O  0.9973  0.8751  0.6553  1 As 1.69
O  0.0027  0.6249  0.1553  1 As 1.69
O  0.2500  0.9167  0.3154  1 As 1.70
As  0.2500  0.3463  0.9706  4 O 1.69-1.70
Ta  0.2500  0.0597  0.1598  6 O 1.92-2.04
Ta  0.7500  0.9403  0.8402  6 O 1.92-2.04
As  0.2500  0.8463  0.5294  4 O 1.69-1.70
O  0.0000  0.0000  0.0000  2 Ta 1.92
O  0.5000  0.0000  0.0000  2 Ta 1.92
As  0.7500  0.1537  0.4706  4 O 1.69-1.70